Entry from the Materials Project database: a relaxed SbSBr crystal (PBE-GGA).

Summary:
E_form ... -0.789 eV per atom
Space group ... No. 62

abc: 3.9946 8.6775 10.3856
angles: 90.00 90.00 90.00
Closest atoms and distances in Å follow each position.
Atoms (fractional coordinates):
Br (0.2500, 0.5251, 0.1910)  2 Sb 2.94
S (0.7500, 0.6607, 0.4626)  3 Sb 2.50-2.70
Br (0.7500, 0.4749, 0.8090)  2 Sb 2.94
S (0.2500, 0.3393, 0.5374)  3 Sb 2.50-2.70
Br (0.2500, 0.0251, 0.3090)  2 Sb 2.94
S (0.7500, 0.1607, 0.0374)  3 Sb 2.50-2.70
Sb (0.2500, 0.1047, 0.8685)  3 S 2.50-2.70
Sb (0.7500, 0.8953, 0.1315)  3 S 2.50-2.70
Sb (0.2500, 0.6047, 0.6315)  3 S 2.50-2.70
Br (0.7500, 0.9749, 0.6910)  2 Sb 2.94
S (0.2500, 0.8393, 0.9626)  3 Sb 2.50-2.70
Sb (0.7500, 0.3953, 0.3685)  3 S 2.50-2.70